This record from the Materials Project describes a relaxed SrInAu5 crystal. The functional is r2SCAN.

a = 5.835 Å, b = 5.835 Å, c = 5.835 Å
α = 102.82°, β = 102.82°, γ = 123.80°
Atoms (fractional coordinates):
Au  0.306  0.306  0.613
Au  0.694  0.306  0.000
Au  0.250  0.750  0.500
Au  0.306  0.694  0.000
Au  0.694  0.694  0.387
In  0.750  0.250  0.500
Sr  0.000  0.000  0.000

## Properties
crystal system: tetragonal
E_form: -491 meV per atom
SG: I-4m2, No. 119
E_tot: -294.1 eV/f.u.